Record 1
A plane-wave DFT calculation with meta-GGA r2SCAN was carried out for a geometry-optimized Bi4Te7Pb structure.

abc: 4.4498 4.4498 25.1589
angles: 90.00 90.00 120.00
Last column: nearest neighbours and their distance in Å.
Fractional coordinates of all 12 atoms:
Bi1 0.3333 0.6667 0.8408  6 Te 3.07-3.28
Bi2 0.6667 0.3333 0.4190  6 Te 3.08-3.28
Bi3 0.6667 0.3333 0.1592  6 Te 3.07-3.28
Bi4 0.3333 0.6667 0.5810  6 Te 3.08-3.28
Te1 0.6667 0.3333 0.6484  3 Bi 3.08
Te2 0.3333 0.6667 0.0782  3 Pb 3.24, 3 Bi 3.28
Te3 0.0000 0.0000 0.2261  3 Bi 3.07
Te4 0.3333 0.6667 0.3516  3 Bi 3.08
Te5 0.6667 0.3333 0.9218  3 Pb 3.24, 3 Bi 3.28
Te6 0.0000 0.0000 0.5000  6 Bi 3.28
Te7 0.0000 0.0000 0.7739  3 Bi 3.07
Pb1 0.0000 0.0000 0.0000  6 Te 3.24

* space group: P-3m1
* calculated formation energy: -3.7 eV per formula unit
* magnetic moment: 0.00 μB per formula unit
* theoretical density: 7.453 g/cm3
* total DFT energy (no corrections): -471.95 eV per formula unit

***

Record 2
A plane-wave DFT calculation with meta-GGA r2SCAN was carried out for a geometry-optimized Bi2Te4Pb structure.

abc: 14.7951 14.7951 14.7951
angles: 17.37 17.37 17.37
Last column: nearest neighbours and their distance in Å.
Fractional coordinates of all 7 atoms:
Bi1 0.4246 0.4246 0.4246  6 Te 3.07-3.28
Bi2 0.5754 0.5754 0.5754  6 Te 3.07-3.28
Te1 0.1295 0.1295 0.1295  3 Bi 3.07
Te2 0.2885 0.2885 0.2885  3 Pb 3.24, 3 Bi 3.28
Te3 0.7115 0.7115 0.7115  3 Pb 3.24, 3 Bi 3.28
Te4 0.8705 0.8705 0.8705  3 Bi 3.07
Pb1 0.0000 0.0000 0.0000  6 Te 3.24

* space group: R-3m
* calculated formation energy: -2.4 eV per formula unit
* magnetic moment: 0.00 μB per formula unit
* theoretical density: 7.488 g/cm3
* total DFT energy (no corrections): -277.33 eV per formula unit

***

Record 3
A plane-wave DFT calculation with meta-GGA r2SCAN was carried out for a geometry-optimized BiPd3 structure.

abc: 4.6147 4.6147 4.6147
angles: 60.00 60.00 60.00
Last column: nearest neighbours and their distance in Å.
Fractional coordinates of all 4 atoms:
Bi1 0.5000 0.5000 0.5000  8 Pd 2.83
Pd1 0.7500 0.7500 0.7500  4 Bi 2.83, 4 Pd 2.83
Pd2 0.2500 0.2500 0.2500  4 Bi 2.83, 4 Pd 2.83
Pd3 0.0000 0.0000 0.0000  8 Pd 2.83

* space group: Fm-3m
* calculated formation energy: -0.8 eV per formula unit
* magnetic moment: 0.00 μB per formula unit
* theoretical density: 12.623 g/cm3
* total DFT energy (no corrections): -128.22 eV per formula unit

***

Record 4
A plane-wave DFT calculation with meta-GGA r2SCAN was carried out for a geometry-optimized BiPd3 structure.

abc: 5.0477 5.8036 9.4671
angles: 90.00 90.00 90.00
Last column: nearest neighbours and their distance in Å.
Fractional coordinates of all 16 atoms:
Bi1 0.1511 0.5000 0.2500  12 Pd 2.86-2.96
Bi2 0.8489 0.5000 0.7500  12 Pd 2.86-2.96
Bi3 0.5000 0.0000 0.5000  12 Pd 2.90-2.95
Bi4 0.5000 0.0000 0.0000  12 Pd 2.90-2.96
Pd1 0.6628 0.2505 0.2500  8 Pd 2.85-2.97, 4 Bi 2.86-2.96
Pd2 0.6628 0.7495 0.2500  8 Pd 2.85-2.97, 4 Bi 2.86-2.96
Pd3 0.3372 0.2505 0.7500  8 Pd 2.85-2.97, 4 Bi 2.86-2.96
Pd4 0.3372 0.7495 0.7500  8 Pd 2.85-2.97, 4 Bi 2.86-2.96
Pd5 0.5000 0.5000 0.0000  8 Pd 2.89-2.91, 4 Bi 2.90-2.95
Pd6 0.5000 0.5000 0.5000  8 Pd 2.89-2.91, 4 Bi 2.90-2.95
Pd7 0.8505 0.0000 0.7500  8 Pd 2.85-2.97, 4 Bi 2.90-2.96
Pd8 0.1495 0.0000 0.2500  8 Pd 2.85-2.97, 4 Bi 2.90-2.96
Pd9 0.0000 0.7493 0.0000  4 Bi 2.88-2.91, 8 Pd 2.88-2.92
Pd10 0.0000 0.2507 0.5000  4 Bi 2.88-2.91, 8 Pd 2.88-2.92
Pd11 0.0000 0.2507 0.0000  4 Bi 2.88-2.91, 8 Pd 2.88-2.92
Pd12 0.0000 0.7493 0.5000  4 Bi 2.88-2.91, 8 Pd 2.88-2.92

* space group: Pmma
* calculated formation energy: -0.9 eV per formula unit
* magnetic moment: 0.00 μB per formula unit
* theoretical density: 12.651 g/cm3
* total DFT energy (no corrections): -128.32 eV per formula unit

***

Record 5
A plane-wave DFT calculation with meta-GGA r2SCAN was carried out for a geometry-optimized BiPd structure.

abc: 5.7182 5.6334 10.8095
angles: 90.00 90.00 99.67
Last column: nearest neighbours and their distance in Å.
Fractional coordinates of all 16 atoms:
Bi1 0.1687 0.1204 0.7123  6 Pd 2.85-3.05
Bi2 0.8313 0.8796 0.2123  6 Pd 2.85-3.05
Bi3 0.6037 0.6511 0.7092  7 Pd 2.87-3.00
Bi4 0.3963 0.3489 0.2092  7 Pd 2.87-3.00
Bi5 0.6684 0.1200 0.4913  6 Pd 2.85-3.05
Bi6 0.3316 0.8800 0.9913  6 Pd 2.85-3.05
Bi7 0.1036 0.6508 0.4946  7 Pd 2.87-3.00
Bi8 0.8964 0.3492 0.9946  7 Pd 2.87-3.00
Pd1 0.1909 0.1735 0.4429  6 Bi 2.85-3.00, 3 Pd 2.88-3.03
Pd2 0.8091 0.8265 0.9429  6 Bi 2.85-3.00, 3 Pd 2.88-3.03
Pd3 0.5890 0.6012 0.4325  3 Pd 2.88-3.03, 7 Bi 2.89-3.05
Pd4 0.4110 0.3988 0.9325  3 Pd 2.88-3.03, 7 Bi 2.89-3.05
Pd5 0.3090 0.8261 0.2609  6 Bi 2.85-3.00, 3 Pd 2.88-3.03
Pd6 0.6910 0.1739 0.7608  6 Bi 2.85-3.00, 3 Pd 2.88-3.03
Pd7 0.9108 0.3983 0.2713  3 Pd 2.88-3.03, 7 Bi 2.89-3.05
Pd8 0.0892 0.6017 0.7713  3 Pd 2.88-3.03, 7 Bi 2.89-3.05

* space group: P2_1/c
* calculated formation energy: -0.5 eV per formula unit
* magnetic moment: 0.00 μB per formula unit
* theoretical density: 12.206 g/cm3
* total DFT energy (no corrections): -81.98 eV per formula unit

***

Record 6
A plane-wave DFT calculation with meta-GGA r2SCAN was carried out for a geometry-optimized BiPd structure.

abc: 4.2804 4.2812 5.6978
angles: 90.00 90.00 119.99
Last column: nearest neighbours and their distance in Å.
Fractional coordinates of all 4 atoms:
Bi1 0.3333 0.6665 0.2500  6 Pd 2.85
Bi2 0.6667 0.3335 0.7500  6 Pd 2.85
Pd1 0.0000 0.0000 0.5000  2 Pd 2.85, 6 Bi 2.85
Pd2 0.0000 0.0000 0.0000  2 Pd 2.85, 6 Bi 2.85

* space group: P6_3/mmc
* calculated formation energy: -0.6 eV per formula unit
* magnetic moment: 0.00 μB per formula unit
* theoretical density: 11.583 g/cm3
* total DFT energy (no corrections): -82.06 eV per formula unit

***

Record 7
A plane-wave DFT calculation with meta-GGA r2SCAN was carried out for a geometry-optimized PmBiPd2 structure.

abc: 4.9380 4.9380 4.9380
angles: 60.00 60.00 60.00
Last column: nearest neighbours and their distance in Å.
Fractional coordinates of all 4 atoms:
Pm1 0.7500 0.7500 0.7500  8 Pd 3.02
Bi1 0.2500 0.2500 0.2500  8 Pd 3.02
Pd1 0.0000 0.0000 0.0000  4 Pm 3.02, 4 Bi 3.02
Pd2 0.5000 0.5000 0.5000  4 Pm 3.02, 4 Bi 3.02

* space group: Fm-3m
* calculated formation energy: -3.0 eV per formula unit
* magnetic moment: 0.00 μB per formula unit
* theoretical density: 11.055 g/cm3
* total DFT energy (no corrections): -136.97 eV per formula unit

***

Record 8
A plane-wave DFT calculation with meta-GGA r2SCAN was carried out for a geometry-optimized PrBiPd structure.

abc: 4.8538 4.8538 4.8538
angles: 60.00 60.00 60.00
Last column: nearest neighbours and their distance in Å.
Fractional coordinates of all 3 atoms:
Pr1 0.5000 0.5000 0.5000  4 Pd 2.97
Bi1 0.0000 0.0000 0.0000  4 Pd 2.97
Pd1 0.2500 0.2500 0.2500  4 Pr 2.97, 4 Bi 2.97

* space group: F-43m
* calculated formation energy: -3.1 eV per formula unit
* magnetic moment: 0.00 μB per formula unit
* theoretical density: 9.371 g/cm3
* total DFT energy (no corrections): -113.99 eV per formula unit

***

Record 9
A plane-wave DFT calculation with meta-GGA r2SCAN was carried out for a geometry-optimized Bi2PdPt structure.

abc: 4.3290 4.3290 5.6259
angles: 90.00 90.00 120.00
Last column: nearest neighbours and their distance in Å.
Fractional coordinates of all 4 atoms:
Bi1 0.3333 0.6667 0.2449  3 Pt 2.85, 3 Pd 2.88
Bi2 0.6667 0.3333 0.7551  3 Pt 2.85, 3 Pd 2.88
Pd1 0.0000 0.0000 0.5000  2 Pt 2.81, 6 Bi 2.88
Pt1 0.0000 0.0000 0.0000  2 Pd 2.81, 6 Bi 2.85

* space group: P-3m1
* calculated formation energy: -1.2 eV per formula unit
* magnetic moment: 0.00 μB per formula unit
* theoretical density: 13.085 g/cm3
* total DFT energy (no corrections): -192.67 eV per formula unit

***

Record 10
A plane-wave DFT calculation with meta-GGA r2SCAN was carried out for a geometry-optimized BiSbPd2 structure.

abc: 4.1901 4.1901 5.6925
angles: 90.00 90.00 120.00
Last column: nearest neighbours and their distance in Å.
Fractional coordinates of all 4 atoms:
Bi1 0.3333 0.6667 0.5000  6 Pd 2.83
Sb1 0.0000 0.0000 0.0000  6 Pd 2.79
Pd1 0.6667 0.3333 0.7565  2 Pd 2.77-2.92, 3 Sb 2.79, 3 Bi 2.83
Pd2 0.6667 0.3333 0.2435  2 Pd 2.77-2.92, 3 Sb 2.79, 3 Bi 2.83

* space group: P-6m2
* calculated formation energy: -1.4 eV per formula unit
* magnetic moment: 0.00 μB per formula unit
* theoretical density: 10.429 g/cm3
* total DFT energy (no corrections): -131.58 eV per formula unit

***

Record 11
A plane-wave DFT calculation with meta-GGA r2SCAN was carried out for a geometry-optimized BiPdSe structure.

abc: 6.4957 6.4957 6.4957
angles: 90.00 90.00 90.00
Last column: nearest neighbours and their distance in Å.
Fractional coordinates of all 12 atoms:
Bi1 0.1283 0.6283 0.8717  3 Pd 2.75, 1 Se 2.78
Bi2 0.6283 0.8717 0.1283  3 Pd 2.75, 1 Se 2.78
Bi3 0.8717 0.1283 0.6283  3 Pd 2.75, 1 Se 2.78
Bi4 0.3717 0.3717 0.3717  3 Pd 2.75, 1 Se 2.78
Pd1 0.4892 0.9892 0.5108  3 Se 2.64, 3 Bi 2.75
Pd2 0.9892 0.5108 0.4892  3 Se 2.64, 3 Bi 2.75
Pd3 0.5108 0.4892 0.9892  3 Se 2.64, 3 Bi 2.75
Pd4 0.0108 0.0108 0.0108  3 Se 2.64, 3 Bi 2.75
Se1 0.8810 0.3810 0.1190  3 Pd 2.64, 1 Bi 2.78
Se2 0.3810 0.1190 0.8810  3 Pd 2.64, 1 Bi 2.78
Se3 0.1190 0.8810 0.3810  3 Pd 2.64, 1 Bi 2.78
Se4 0.6190 0.6190 0.6190  3 Pd 2.64, 1 Bi 2.78

* space group: P2_13
* calculated formation energy: -1.2 eV per formula unit
* magnetic moment: 0.00 μB per formula unit
* theoretical density: 9.557 g/cm3
* total DFT energy (no corrections): -97.00 eV per formula unit

***

Record 12
A plane-wave DFT calculation with meta-GGA r2SCAN was carried out for a geometry-optimized SrBi2Pd2 structure.

abc: 4.8397 4.8397 10.9368
angles: 90.00 90.00 90.00
Last column: nearest neighbours and their distance in Å.
Fractional coordinates of all 10 atoms:
Sr1 0.7500 0.7500 0.2345  8 Pd 3.53-3.73, 9 Bi 3.63-3.92
Sr2 0.2500 0.2500 0.7655  8 Pd 3.53-3.73, 9 Bi 3.63-3.92
Bi1 0.7500 0.2500 0.5000  4 Pd 2.80
Bi2 0.2500 0.7500 0.5000  4 Pd 2.80
Bi3 0.7500 0.7500 0.8757  5 Pd 2.70-2.78
Bi4 0.2500 0.2500 0.1243  5 Pd 2.70-2.78
Pd1 0.7500 0.2500 0.0000  4 Bi 2.78
Pd2 0.2500 0.7500 0.0000  4 Bi 2.78
Pd3 0.7500 0.7500 0.6291  5 Bi 2.70-2.80
Pd4 0.2500 0.2500 0.3709  5 Bi 2.70-2.80

* space group: P4/nmm
* calculated formation energy: -3.1 eV per formula unit
* magnetic moment: 0.00 μB per formula unit
* theoretical density: 9.314 g/cm3
* total DFT energy (no corrections): -181.17 eV per formula unit